NaCrN2 | r²SCAN | optimized geometry

Summary:
Size of the total moment: 4.000 Bohr magnetons per cell

Structure (CIF):
```
data_NaCrN2
_space_group_name_H-M_alt 'I -4 2 d'
_space_group_IT_number 122
_space_group_name_Hall 'I -4 2bw'
_cell_length_a 5.081
_cell_length_b 5.081
_cell_length_c 8.131
_cell_angle_alpha 90.00
_cell_angle_beta 90.00
_cell_angle_gamma 90.00
loop_
_atom_site_label
_atom_site_type_symbol
_atom_site_fract_x
_atom_site_fract_y
_atom_site_fract_z
Na1 Na 0.000 0.000 0.000
Cr1 Cr 0.000 0.000 0.500
N1 N 0.138 0.250 0.625
```



Tm3Sb | r²SCAN | optimized geometry

Summary:
Size of the total moment: 0.010 Bohr magnetons per cell

Structure (CIF):
```
data_Tm3Sb
_space_group_name_H-M_alt 'P 42/n'
_space_group_IT_number 86
_cell_length_a 12.168
_cell_length_b 12.168
_cell_length_c 6.096
_cell_angle_alpha 90.00
_cell_angle_beta 90.00
_cell_angle_gamma 90.00
loop_
_space_group_symop_operation_xyz
'x,y,z'
'-x,-y,-z'
'-y,x+1/2,z+1/2'
'y,-x+1/2,-z+1/2'
'-x+1/2,-y+1/2,z'
'x+1/2,y+1/2,-z'
'y+1/2,-x,z+1/2'
'-y+1/2,x,-z+1/2'
loop_
_atom_site_label
_atom_site_type_symbol
_atom_site_fract_x
_atom_site_fract_y
_atom_site_fract_z
Tm1 Tm 0.036 0.576 0.233
Tm2 Tm 0.105 0.219 0.037
Tm3 Tm 0.141 0.667 0.712
Sb1 Sb 0.051 0.207 0.541
```



HoPd3S4 | r²SCAN | optimized geometry

Summary:
Size of the total moment: 0.016 Bohr magnetons per cell

Structure (CIF):
```
data_HoPd3S4
_space_group_name_H-M_alt 'P m -3 n'
_space_group_IT_number 223
_space_group_name_Hall '-P 4n 2 3'
_cell_length_a 6.659
_cell_length_b 6.659
_cell_length_c 6.659
_cell_angle_alpha 90.00
_cell_angle_beta 90.00
_cell_angle_gamma 90.00
loop_
_atom_site_label
_atom_site_type_symbol
_atom_site_fract_x
_atom_site_fract_y
_atom_site_fract_z
Ho1 Ho 0.000 0.000 0.000
Pd1 Pd 0.000 0.250 0.500
S1 S 0.250 0.250 0.250
```



Pr3InSe6 | r²SCAN | optimized geometry

Summary:
Size of the total moment: 0.000 Bohr magnetons per cell

Structure (CIF):
```
data_Pr3InSe6
_space_group_name_H-M_alt 'P n n m'
_space_group_IT_number 58
_space_group_name_Hall '-P 2 2n'
_cell_length_a 14.505
_cell_length_b 17.675
_cell_length_c 4.157
_cell_angle_alpha 90.00
_cell_angle_beta 90.00
_cell_angle_gamma 90.00
loop_
_atom_site_label
_atom_site_type_symbol
_atom_site_fract_x
_atom_site_fract_y
_atom_site_fract_z
Pr1 Pr 0.041 0.223 0.000
Pr2 Pr 0.187 0.645 0.000
Pr3 Pr 0.248 0.895 0.500
In1 In 0.000 0.000 0.500
In2 In 0.000 0.500 0.500
Se1 Se 0.022 0.398 0.000
Se2 Se 0.093 0.917 0.000
Se3 Se 0.111 0.748 0.500
Se4 Se 0.112 0.113 0.500
Se5 Se 0.182 0.285 0.500
Se6 Se 0.189 0.519 0.500
```



Ca2GaHg | r²SCAN | optimized geometry

Summary:
Size of the total moment: 0.000 Bohr magnetons per cell

Structure (CIF):
```
data_Ca2GaHg
_space_group_name_H-M_alt 'F m -3 m'
_space_group_IT_number 225
_space_group_name_Hall '-F 4 2 3'
_cell_length_a 7.424
_cell_length_b 7.424
_cell_length_c 7.424
_cell_angle_alpha 90.00
_cell_angle_beta 90.00
_cell_angle_gamma 90.00
loop_
_atom_site_label
_atom_site_type_symbol
_atom_site_fract_x
_atom_site_fract_y
_atom_site_fract_z
Ca1 Ca 0.250 0.250 0.250
Ga1 Ga 0.000 0.000 0.000
Hg1 Hg 0.000 0.000 0.500
```



DyAlGe | r²SCAN | optimized geometry

Summary:
Size of the total moment: 0.000 Bohr magnetons per cell

Structure (CIF):
```
data_DyAlGe
_space_group_name_H-M_alt 'C m c m'
_space_group_IT_number 63
_space_group_name_Hall '-C 2c 2'
_cell_length_a 4.022
_cell_length_b 10.433
_cell_length_c 5.736
_cell_angle_alpha 90.00
_cell_angle_beta 90.00
_cell_angle_gamma 90.00
loop_
_atom_site_label
_atom_site_type_symbol
_atom_site_fract_x
_atom_site_fract_y
_atom_site_fract_z
Dy1 Dy 0.000 0.190 0.250
Al1 Al 0.000 0.500 0.000
Ge1 Ge 0.000 0.106 0.750
```



K3SnSe3 | r²SCAN | optimized geometry

Summary:
Size of the total moment: 0.000 Bohr magnetons per cell

Structure (CIF):
```
data_K3SnSe3
_space_group_name_H-M_alt 'P 1 21/c 1'
_space_group_IT_number 14
_space_group_name_Hall '-P 2ybc'
_cell_length_a 9.129
_cell_length_b 12.856
_cell_length_c 8.950
_cell_angle_alpha 90.00
_cell_angle_beta 115.60
_cell_angle_gamma 90.00
loop_
_atom_site_label
_atom_site_type_symbol
_atom_site_fract_x
_atom_site_fract_y
_atom_site_fract_z
K1 K 0.002 0.164 0.014
K2 K 0.225 0.569 0.211
K3 K 0.441 0.212 0.811
Sn1 Sn 0.341 0.508 0.871
Se1 Se 0.172 0.129 0.430
Se2 Se 0.242 0.691 0.879
Se3 Se 0.346 0.029 0.096
```



LaAl3 | r²SCAN | optimized geometry

Summary:
Size of the total moment: 0.000 Bohr magnetons per cell

Structure (CIF):
```
data_LaAl3
_space_group_name_H-M_alt 'P 63/m m c'
_space_group_IT_number 194
_space_group_name_Hall '-P 6c 2c'
_cell_length_a 6.6946
_cell_length_b 6.6946
_cell_length_c 4.6225
_cell_angle_alpha 90.00
_cell_angle_beta 90.00
_cell_angle_gamma 120.00
loop_
_atom_site_label
_atom_site_type_symbol
_atom_site_fract_x
_atom_site_fract_y
_atom_site_fract_z
La1 La 0.3333 0.6667 0.2500
Al1 Al 0.1355 0.2711 0.7500
```



DyCdPd2 | r²SCAN | optimized geometry

Summary:
Size of the total moment: 0.000 Bohr magnetons per cell

Structure (CIF):
```
data_DyCdPd2
_space_group_name_H-M_alt 'F m -3 m'
_space_group_IT_number 225
_space_group_name_Hall '-F 4 2 3'
_cell_length_a 6.728
_cell_length_b 6.728
_cell_length_c 6.728
_cell_angle_alpha 90.00
_cell_angle_beta 90.00
_cell_angle_gamma 90.00
loop_
_atom_site_label
_atom_site_type_symbol
_atom_site_fract_x
_atom_site_fract_y
_atom_site_fract_z
Dy1 Dy 0.000 0.000 0.000
Cd1 Cd 0.000 0.000 0.500
Pd1 Pd 0.250 0.250 0.250
```



| no. | ΔE_f (eV per atom) |
| --- | --- |
| 1 | -0.52 |
| 2 | -0.66 |
| 3 | -1.02 |
| 4 | -1.84 |
| 5 | -0.54 |
| 6 | -0.73 |
| 7 | -1.18 |
| 8 | -0.49 |
| 9 | -0.77 |